Material: Li4Cu3TeO8
Method: DFT, GGA-PBE
State: optimized geometry

POSCAR file:
```
Li4Cu3TeO8
1.0
3.064 1.769 4.810
-3.064 1.769 4.810
0.000 -3.538 4.810
Li Cu Te O
4 3 1 8
Direct
0.000 0.000 0.000
0.000 0.500 0.500
0.500 0.000 0.500
0.500 0.500 0.000
0.000 0.000 0.500
0.000 0.500 0.000
0.500 0.000 0.000
0.500 0.500 0.500
0.230 0.230 0.230
0.270 0.270 0.716
0.270 0.716 0.270
0.284 0.730 0.730
0.716 0.270 0.270
0.730 0.284 0.730
0.730 0.730 0.284
0.770 0.770 0.770
```

## Properties
- Symmetry: R-3m, No. 166
- Formation enthalpy at 0 K: -1552 meV per atom
- Final energy: -81.992 eV per cell

Material: Li3CuTe4O12
Method: DFT, GGA-PBE
State: optimized geometry

POSCAR file:
```
Li3CuTe4O12
1.0
5.308 0.000 0.000
0.009 5.715 0.000
0.028 0.827 7.797
Li Cu Te O
3 1 4 12
Direct
0.000 0.000 0.000
0.000 0.040 0.519
0.495 0.503 0.499
0.498 0.579 0.039
0.499 0.082 0.294
0.506 0.097 0.793
0.992 0.599 0.306
0.993 0.574 0.786
0.135 0.622 0.545
0.158 0.922 0.250
0.198 0.272 0.864
0.311 0.451 0.250
0.323 0.808 0.875
0.366 0.118 0.557
0.639 0.119 0.027
0.661 0.414 0.725
0.699 0.783 0.389
0.815 0.942 0.736
0.821 0.311 0.385
0.861 0.634 0.075
```

## Properties
- Symmetry: P1, No. 1
- Formation enthalpy at 0 K: -1577 meV per atom
- Final energy: -105.066 eV per cell

Material: Li4Ti3Cu3Te2O16
Method: DFT, GGA-PBE
State: optimized geometry

POSCAR file:
```
Li4Ti3Cu3Te2O16
1.0
5.188 -2.986 0.000
5.188 2.986 0.000
-0.301 0.000 10.123
Li Ti Cu Te O
4 3 3 2 16
Direct
0.000 0.000 0.000
0.015 0.015 0.508
0.349 0.349 0.577
0.672 0.672 0.081
0.173 0.655 0.270
0.655 0.173 0.270
0.834 0.834 0.767
0.176 0.176 0.286
0.346 0.839 0.773
0.839 0.346 0.773
0.331 0.331 0.985
0.675 0.675 0.503
0.006 0.006 0.197
0.007 0.007 0.692
0.027 0.527 0.155
0.146 0.661 0.881
0.161 0.161 0.901
0.347 0.834 0.406
0.348 0.348 0.380
0.496 0.496 0.175
0.527 0.027 0.155
0.536 0.536 0.634
0.553 0.978 0.625
0.661 0.146 0.881
0.677 0.677 0.869
0.834 0.347 0.406
0.839 0.839 0.394
0.978 0.553 0.625
```

## Properties
- Symmetry: Cm, No. 8
- Formation enthalpy at 0 K: -2176 meV per atom
- Final energy: -179.008 eV per cell

Material: Li5Ti2Cu5O12
Method: DFT, GGA-PBE
State: optimized geometry

POSCAR file:
```
Li5Ti2Cu5O12
1.0
2.777 -4.240 0.000
2.777 4.240 0.000
-0.151 0.000 9.719
Li Ti Cu O
5 2 5 12
Direct
0.000 0.000 0.000
0.246 0.235 0.753
0.407 0.061 0.242
0.765 0.754 0.247
0.939 0.593 0.758
0.332 0.668 0.000
0.833 0.167 0.500
0.086 0.401 0.248
0.166 0.834 0.500
0.504 0.496 0.500
0.599 0.914 0.752
0.672 0.328 0.000
0.002 0.340 0.901
0.076 0.708 0.134
0.093 0.103 0.369
0.166 0.495 0.598
0.292 0.924 0.866
0.396 0.385 0.121
0.505 0.834 0.402
0.565 0.221 0.627
0.615 0.604 0.879
0.660 0.998 0.099
0.779 0.435 0.373
0.897 0.907 0.631
```

## Properties
- Symmetry: C2, No. 5
- Formation enthalpy at 0 K: -1949 meV per atom
- Final energy: -143.743 eV per cell

Material: Li2TiCuO4
Method: DFT, GGA-PBE
State: optimized geometry

POSCAR file:
```
Li2TiCuO4
1.0
5.066 0.000 0.000
0.000 2.997 0.000
-1.516 0.000 4.872
Li Ti Cu O
2 1 1 4
Direct
0.000 0.000 0.000
0.500 0.500 0.000
0.000 0.500 0.500
0.500 0.000 0.500
0.227 0.000 0.723
0.234 0.500 0.262
0.766 0.500 0.738
0.773 0.000 0.277
```

## Properties
- Excess energy over the best structure of this formula in the dataset: 33 meV per atom
- Symmetry: P2/m, No. 10
- Formation enthalpy at 0 K: -2351 meV per atom
- Final energy: -51.667 eV per cell

Material: Li2TiCuO4
Method: DFT, GGA-PBE
State: optimized geometry

POSCAR file:
```
Li2TiCuO4
1.0
-1.992 1.992 4.684
1.992 -1.992 4.684
1.992 1.992 -4.684
Li Ti Cu O
2 1 1 4
Direct
0.000 0.000 0.000
0.750 0.250 0.500
0.250 0.750 0.500
0.500 0.500 0.000
0.036 0.536 0.500
0.247 0.247 0.000
0.464 0.964 0.500
0.753 0.753 0.000
```

## Properties
- Excess energy over the best structure of this formula in the dataset: 9 meV per atom
- Symmetry: I-4m2, No. 119
- Formation enthalpy at 0 K: -2375 meV per atom
- Final energy: -51.858 eV per cell